(1)
{"formula": "Cs3CaFeP4O14", "functional": "meta-GGA r2SCAN", "state": "optimized geometry", "delta_e_f_mev_per_atom": -2548, "density_g_cm3": 3.5, "vol_a3_per_atom": 17.199, "lattice": [[9.308, 0.000, 0.000], [0.000, 11.283, 0.000], [0.000, 0.000, 15.066]], "species": ["P", "P", "P", "P", "P", "P", "P", "P", "P", "P", "P", "P", "P", "P", "P", "P", "O", "O", "O", "O", "O", "O", "O", "O", "O", "O", "O", "O", "O", "O", "O", "O", "O", "O", "O", "O", "O", "O", "O", "O", "O", "O", "O", "O", "O", "O", "O", "O", "O", "O", "O", "O", "O", "O", "O", "O", "O", "O", "O", "O", "O", "O", "O", "O", "O", "O", "O", "O", "O", "O", "O", "O", "Cs", "Cs", "Cs", "Cs", "Cs", "Cs", "Cs", "Cs", "Cs", "Cs", "Cs", "Cs", "Fe", "Fe", "Fe", "Fe", "Ca", "Ca", "Ca", "Ca"], "frac_coords": [[0.916, 0.874, 0.293], [0.651, 0.149, 0.438], [0.416, 0.626, 0.707], [0.021, 0.358, 0.020], [0.083, 0.963, 0.830], [0.979, 0.858, 0.480], [0.849, 0.851, 0.938], [0.479, 0.642, 0.520], [0.151, 0.351, 0.562], [0.417, 0.037, 0.330], [0.583, 0.537, 0.170], [0.917, 0.463, 0.670], [0.084, 0.374, 0.207], [0.584, 0.126, 0.793], [0.521, 0.142, 0.980], [0.349, 0.649, 0.062], [0.056, 0.290, 0.282], [0.029, 0.497, 0.222], [0.556, 0.210, 0.718], [0.349, 0.529, 0.013], [0.849, 0.971, 0.987], [0.050, 0.370, 0.649], [0.501, 0.184, 0.878], [0.465, 0.920, 0.376], [0.035, 0.080, 0.876], [0.585, 0.526, 0.269], [0.705, 0.818, 0.901], [0.001, 0.316, 0.122], [0.965, 0.580, 0.624], [0.213, 0.911, 0.874], [0.755, 0.874, 0.320], [0.474, 0.016, 0.987], [0.971, 0.997, 0.278], [0.471, 0.503, 0.722], [0.575, 0.726, 0.468], [0.417, 0.743, 0.005], [0.444, 0.710, 0.782], [0.713, 0.589, 0.126], [0.151, 0.471, 0.513], [0.535, 0.420, 0.124], [0.944, 0.790, 0.218], [0.950, 0.870, 0.851], [0.205, 0.682, 0.099], [0.425, 0.226, 0.032], [0.583, 0.243, 0.495], [0.085, 0.974, 0.731], [0.295, 0.318, 0.599], [0.245, 0.374, 0.180], [0.178, 0.336, 0.999], [0.795, 0.182, 0.401], [0.026, 0.984, 0.487], [0.925, 0.274, 0.968], [0.287, 0.089, 0.374], [0.083, 0.257, 0.505], [0.787, 0.411, 0.626], [0.678, 0.164, 0.001], [0.526, 0.516, 0.513], [0.651, 0.029, 0.487], [0.915, 0.474, 0.769], [0.550, 0.130, 0.351], [0.529, 0.003, 0.778], [0.974, 0.484, 0.013], [0.917, 0.757, 0.995], [0.450, 0.630, 0.149], [0.415, 0.026, 0.231], [0.075, 0.774, 0.532], [0.322, 0.664, 0.499], [0.499, 0.684, 0.622], [0.999, 0.816, 0.378], [0.822, 0.836, 0.501], [0.255, 0.626, 0.680], [0.745, 0.126, 0.820], [0.371, 0.369, 0.370], [0.223, 0.287, 0.804], [0.323, 0.019, 0.588], [0.871, 0.131, 0.630], [0.277, 0.713, 0.304], [0.677, 0.519, 0.912], [0.177, 0.981, 0.088], [0.823, 0.481, 0.412], [0.723, 0.213, 0.196], [0.129, 0.631, 0.870], [0.629, 0.869, 0.130], [0.777, 0.787, 0.696], [0.352, 0.375, 0.071], [0.852, 0.125, 0.929], [0.648, 0.875, 0.429], [0.148, 0.625, 0.571], [0.957, 0.637, 0.117], [0.543, 0.363, 0.617], [0.043, 0.137, 0.383], [0.457, 0.863, 0.883]]}

(2)
{"formula": "Na4Sn3F10", "functional": "meta-GGA r2SCAN", "state": "optimized geometry", "delta_e_f_mev_per_atom": -2687, "density_g_cm3": 3.7, "vol_a3_per_atom": 16.947, "lattice": [[3.820, 1.054, -10.007], [6.175, -6.364, 6.100], [-2.755, -4.340, -1.596]], "species": ["F", "F", "F", "F", "F", "F", "F", "F", "F", "F", "F", "F", "F", "F", "F", "F", "F", "F", "F", "F", "Na", "Na", "Na", "Na", "Na", "Na", "Na", "Na", "Sn", "Sn", "Sn", "Sn", "Sn", "Sn"], "frac_coords": [[0.563, 0.903, 0.895], [0.744, 0.499, 0.950], [0.723, 0.204, 0.014], [0.204, 0.723, 0.514], [0.501, 0.256, 0.550], [0.348, 0.444, 0.612], [0.011, 0.651, 0.936], [0.989, 0.349, 0.064], [0.499, 0.744, 0.450], [0.256, 0.501, 0.050], [0.444, 0.348, 0.112], [0.437, 0.097, 0.105], [0.651, 0.011, 0.436], [0.903, 0.563, 0.395], [0.349, 0.989, 0.564], [0.097, 0.437, 0.605], [0.556, 0.652, 0.888], [0.277, 0.796, 0.986], [0.796, 0.277, 0.486], [0.652, 0.556, 0.388], [0.452, 0.548, 0.250], [0.901, 0.443, 0.750], [0.557, 0.099, 0.750], [0.656, 0.344, 0.250], [0.443, 0.901, 0.250], [0.099, 0.557, 0.250], [0.548, 0.452, 0.750], [0.344, 0.656, 0.750], [0.845, 0.155, 0.250], [0.171, 0.331, 0.835], [0.669, 0.829, 0.665], [0.829, 0.669, 0.165], [0.155, 0.845, 0.750], [0.331, 0.171, 0.335]]}

(3)
{"formula": "Bi2MoO6", "functional": "meta-GGA r2SCAN", "state": "optimized geometry", "delta_e_f_mev_per_atom": -1782, "density_g_cm3": 8.1, "vol_a3_per_atom": 13.833, "lattice": [[5.527, 0.000, 0.000], [0.000, 5.528, 0.000], [0.000, 0.000, 16.298]], "species": ["O", "O", "O", "O", "O", "O", "O", "O", "O", "O", "O", "O", "O", "O", "O", "O", "O", "O", "O", "O", "O", "O", "O", "O", "Mo", "Mo", "Mo", "Mo", "Bi", "Bi", "Bi", "Bi", "Bi", "Bi", "Bi", "Bi"], "frac_coords": [[0.303, 0.761, 0.226], [0.697, 0.261, 0.774], [0.803, 0.761, 0.774], [0.238, 0.758, 0.001], [0.276, 0.685, 0.727], [0.086, 0.947, 0.355], [0.423, 0.929, 0.857], [0.261, 0.775, 0.501], [0.724, 0.185, 0.273], [0.762, 0.258, 0.999], [0.761, 0.775, 0.499], [0.262, 0.258, 0.001], [0.077, 0.429, 0.857], [0.239, 0.275, 0.501], [0.923, 0.929, 0.143], [0.577, 0.429, 0.143], [0.914, 0.447, 0.645], [0.776, 0.685, 0.273], [0.586, 0.947, 0.645], [0.414, 0.447, 0.355], [0.224, 0.185, 0.727], [0.197, 0.261, 0.226], [0.738, 0.758, 0.999], [0.739, 0.275, 0.499], [0.007, 0.527, 0.750], [0.507, 0.527, 0.250], [0.993, 0.027, 0.250], [0.493, 0.027, 0.750], [0.477, 0.540, 0.923], [0.476, 0.056, 0.423], [0.523, 0.040, 0.077], [0.976, 0.056, 0.577], [0.024, 0.556, 0.423], [0.524, 0.556, 0.577], [0.977, 0.540, 0.077], [0.023, 0.040, 0.923]]}

(4)
{"formula": "Y2AgRu", "functional": "meta-GGA r2SCAN", "state": "optimized geometry", "delta_e_f_mev_per_atom": -346, "density_g_cm3": 7.5, "vol_a3_per_atom": 21.394, "lattice": [[3.913, -3.014, 0.273], [2.495, -0.435, 4.249], [-0.282, -4.188, 2.616]], "species": ["Ag", "Ru", "Y", "Y"], "frac_coords": [[0.250, 0.250, 0.250], [0.750, 0.750, 0.750], [0.500, 0.500, 0.500], [0.000, 0.000, 0.000]]}

(5)
{"formula": "FePt", "functional": "meta-GGA r2SCAN", "state": "optimized geometry", "delta_e_f_mev_per_atom": -350, "density_g_cm3": 15.0, "vol_a3_per_atom": 13.907, "lattice": [[2.728, 0.000, 0.000], [0.000, 2.728, 0.000], [0.000, 0.000, 3.737]], "species": ["Pt", "Fe"], "frac_coords": [[0.500, 0.500, 0.500], [0.000, 0.000, 0.000]]}

(6)
{"formula": "Dy2Te3", "functional": "meta-GGA r2SCAN", "state": "optimized geometry", "delta_e_f_mev_per_atom": -1681, "density_g_cm3": 6.7, "vol_a3_per_atom": 35.157, "lattice": [[6.159, 4.368, 0.000], [-6.159, 4.368, 0.000], [0.000, -4.368, 13.068]], "species": ["Dy", "Dy", "Dy", "Dy", "Dy", "Dy", "Dy", "Dy", "Te", "Te", "Te", "Te", "Te", "Te", "Te", "Te", "Te", "Te", "Te", "Te"], "frac_coords": [[0.626, 0.376, 0.752], [0.708, 0.958, 0.916], [0.124, 0.874, 0.748], [0.458, 0.208, 0.416], [0.292, 0.042, 0.084], [0.876, 0.126, 0.252], [0.374, 0.624, 0.248], [0.542, 0.792, 0.584], [0.959, 0.711, 0.915], [0.789, 0.541, 0.585], [0.624, 0.374, 0.250], [0.544, 0.796, 0.085], [0.376, 0.626, 0.750], [0.126, 0.876, 0.250], [0.874, 0.124, 0.750], [0.296, 0.044, 0.585], [0.211, 0.459, 0.415], [0.041, 0.289, 0.085], [0.704, 0.956, 0.415], [0.456, 0.204, 0.915]]}

(7)
{"formula": "Li2Ti6O13", "functional": "meta-GGA r2SCAN", "state": "optimized geometry", "delta_e_f_mev_per_atom": -3164, "density_g_cm3": 3.2, "vol_a3_per_atom": 12.431, "lattice": [[1.876, 7.694, -0.019], [-1.876, 7.694, -0.019], [0.000, 1.501, 9.036]], "species": ["O", "O", "O", "O", "O", "O", "O", "O", "O", "O", "O", "O", "O", "Ti", "Ti", "Ti", "Ti", "Ti", "Ti", "Li", "Li"], "frac_coords": [[0.238, 0.238, 0.756], [0.353, 0.353, 0.113], [0.762, 0.762, 0.244], [0.704, 0.704, 0.572], [0.000, 0.000, 0.000], [0.159, 0.159, 0.094], [0.296, 0.296, 0.428], [0.871, 0.871, 0.614], [0.841, 0.841, 0.906], [0.073, 0.073, 0.711], [0.927, 0.927, 0.289], [0.129, 0.129, 0.386], [0.647, 0.647, 0.887], [0.115, 0.115, 0.905], [0.230, 0.230, 0.229], [0.833, 0.833, 0.436], [0.885, 0.885, 0.095], [0.770, 0.770, 0.771], [0.167, 0.167, 0.564], [0.049, 0.049, 0.245], [0.951, 0.951, 0.755]]}

(8)
{"formula": "Gd2ReO5", "functional": "meta-GGA r2SCAN", "state": "optimized geometry", "delta_e_f_mev_per_atom": -1880, "density_g_cm3": 9.2, "vol_a3_per_atom": 13.136, "lattice": [[8.579, 0.001, 0.000], [-0.001, 8.579, 0.000], [0.000, 0.000, 5.711]], "species": ["O", "O", "O", "O", "O", "O", "O", "O", "O", "O", "O", "O", "O", "O", "O", "O", "O", "O", "O", "O", "Re", "Re", "Re", "Re", "Gd", "Gd", "Gd", "Gd", "Gd", "Gd", "Gd", "Gd"], "frac_coords": [[0.091, 0.701, 0.604], [0.799, 0.407, 0.096], [0.093, 0.299, 0.096], [0.000, 0.000, 0.500], [0.407, 0.201, 0.904], [0.201, 0.593, 0.096], [0.591, 0.201, 0.396], [0.299, 0.907, 0.904], [0.500, 0.500, 0.000], [0.000, 0.000, 0.000], [0.201, 0.409, 0.604], [0.409, 0.799, 0.396], [0.909, 0.299, 0.604], [0.799, 0.591, 0.604], [0.701, 0.093, 0.904], [0.907, 0.701, 0.096], [0.593, 0.799, 0.904], [0.701, 0.909, 0.396], [0.299, 0.091, 0.396], [0.500, 0.500, 0.500], [0.000, 0.500, 0.149], [0.500, 0.000, 0.851], [0.000, 0.500, 0.542], [0.500, 0.000, 0.458], [0.358, 0.350, 0.249], [0.142, 0.150, 0.751], [0.642, 0.650, 0.249], [0.150, 0.858, 0.249], [0.350, 0.642, 0.751], [0.650, 0.358, 0.751], [0.858, 0.850, 0.751], [0.850, 0.142, 0.249]]}

(9)
{"formula": "Mg3Ga", "functional": "meta-GGA r2SCAN", "state": "optimized geometry", "delta_e_f_mev_per_atom": -84, "density_g_cm3": 3.0, "vol_a3_per_atom": 19.851, "lattice": [[3.054, -5.289, 0.000], [3.054, 5.289, 0.000], [0.000, 0.000, 4.916]], "species": ["Mg", "Mg", "Mg", "Mg", "Mg", "Mg", "Ga", "Ga"], "frac_coords": [[0.170, 0.830, 0.750], [0.661, 0.830, 0.750], [0.170, 0.339, 0.750], [0.339, 0.170, 0.250], [0.830, 0.661, 0.250], [0.830, 0.170, 0.250], [0.667, 0.333, 0.750], [0.333, 0.667, 0.250]]}

(10)
{"formula": "LaSI", "functional": "meta-GGA r2SCAN", "state": "optimized geometry", "delta_e_f_mev_per_atom": -2206, "density_g_cm3": 5.1, "vol_a3_per_atom": 32.349, "lattice": [[7.132, 0.000, 0.000], [0.000, 7.406, 0.000], [0.000, 0.000, 14.699]], "species": ["La", "La", "La", "La", "La", "La", "La", "La", "I", "I", "I", "I", "I", "I", "I", "I", "S", "S", "S", "S", "S", "S", "S", "S"], "frac_coords": [[0.757, 0.029, 0.584], [0.743, 0.029, 0.084], [0.243, 0.471, 0.084], [0.757, 0.529, 0.916], [0.243, 0.971, 0.416], [0.743, 0.529, 0.416], [0.257, 0.471, 0.584], [0.257, 0.971, 0.916], [0.182, 0.094, 0.699], [0.682, 0.906, 0.801], [0.682, 0.406, 0.699], [0.182, 0.594, 0.801], [0.318, 0.094, 0.199], [0.818, 0.906, 0.301], [0.818, 0.406, 0.199], [0.318, 0.594, 0.301], [0.999, 0.743, 0.522], [0.999, 0.243, 0.978], [0.501, 0.243, 0.478], [0.001, 0.257, 0.478], [0.501, 0.743, 0.022], [0.001, 0.757, 0.022], [0.499, 0.257, 0.978], [0.499, 0.757, 0.522]]}

(11)
{"formula": "CdAg3", "functional": "meta-GGA r2SCAN", "state": "optimized geometry", "delta_e_f_mev_per_atom": -43, "density_g_cm3": 10.1, "vol_a3_per_atom": 17.998, "lattice": [[5.844, 0.000, 0.000], [-2.922, 5.061, 0.000], [0.000, 0.000, 4.868]], "species": ["Cd", "Cd", "Ag", "Ag", "Ag", "Ag", "Ag", "Ag"], "frac_coords": [[0.333, 0.667, 0.750], [0.667, 0.333, 0.250], [0.331, 0.166, 0.750], [0.166, 0.331, 0.250], [0.669, 0.834, 0.250], [0.166, 0.834, 0.250], [0.834, 0.669, 0.750], [0.834, 0.166, 0.750]]}

(12)
{"formula": "SiO2", "functional": "meta-GGA r2SCAN", "state": "optimized geometry", "delta_e_f_mev_per_atom": -3022, "density_g_cm3": 1.7, "vol_a3_per_atom": 19.457, "lattice": [[1.038, 2.922, 6.788], [-0.240, -8.273, 5.257], [9.790, -0.418, 0.342]], "species": ["O", "O", "O", "O", "O", "O", "O", "O", "O", "O", "O", "O", "O", "O", "O", "O", "O", "O", "O", "O", "O", "O", "O", "O", "Si", "Si", "Si", "Si", "Si", "Si", "Si", "Si", "Si", "Si", "Si", "Si"], "frac_coords": [[0.628, 0.438, 0.184], [0.712, 0.804, 0.446], [0.000, 0.252, 0.748], [0.045, 0.507, 0.790], [0.390, 0.409, 0.409], [0.090, 0.005, 0.646], [0.500, 0.350, 0.650], [0.955, 0.493, 0.210], [0.372, 0.816, 0.562], [0.090, 0.646, 0.005], [0.712, 0.446, 0.804], [0.113, 0.762, 0.762], [0.045, 0.790, 0.507], [0.955, 0.210, 0.493], [0.887, 0.238, 0.238], [0.610, 0.591, 0.591], [0.910, 0.354, 0.995], [0.288, 0.196, 0.554], [0.500, 0.650, 0.350], [0.288, 0.554, 0.196], [0.000, 0.748, 0.252], [0.628, 0.184, 0.438], [0.910, 0.995, 0.354], [0.372, 0.562, 0.816], [0.548, 0.487, 0.715], [0.155, 0.619, 0.844], [0.916, 0.833, 0.390], [0.845, 0.156, 0.381], [0.916, 0.390, 0.833], [0.845, 0.381, 0.156], [0.452, 0.285, 0.513], [0.155, 0.844, 0.619], [0.548, 0.715, 0.487], [0.084, 0.167, 0.610], [0.452, 0.513, 0.285], [0.084, 0.610, 0.167]]}

Q: Which formula does entry 5 have?
A: FePt